Entry 1:
Density functional theory data (PBE) for a geometry-optimized YZnSn2 structure.

Results
* formation energy: -0.46 eV per atom
* space group: P4/nmm, No. 129
* total energy: -4.40 eV per atom

extended XYZ file:
```
8
Lattice="4.3677 0.0000 0.0000 0.0000 4.3677 0.0000 0.0000 0.0000 9.9185" Properties=species:S:1:pos:R:3 pbc="T T T"
Y 0.0000 2.1838 7.4420
Y 2.1838 0.0000 2.4765
Zn 0.0000 0.0000 4.9592
Zn 2.1838 2.1838 4.9592
Sn 0.0000 0.0000 0.0000
Sn 2.1838 2.1838 0.0000
Sn 0.0000 2.1838 3.1255
Sn 2.1838 0.0000 6.7930
```

---

Entry 2:
Density functional theory data (PBE) for a geometry-optimized Ge structure.

Results
* formation energy: 0.34 eV per atom
* space group: Im-3m, No. 229
* total energy: -4.28 eV per atom

extended XYZ file:
```
1
Lattice="0.2746 -2.5734 -1.3898 0.4868 -0.3812 2.8718 -2.7156 1.0454 -0.4025" Properties=species:S:1:pos:R:3 pbc="T T T"
Ge 0.0000 0.0000 0.0000
```

---

Entry 3:
Density functional theory data (PBE) for a geometry-optimized NaSmP2H4CO7 structure.

Results
* MP2020-corrected energy: -434.7 eV per cell
* formation energy: -2.15 eV per atom
* space group: P2_1/c, No. 14
* total energy: -6.49 eV per atom

extended XYZ file:
```
64
Lattice="-11.9919 1.3459 9.3838 1.0645 -6.2668 2.2591 4.0904 2.3185 4.8947" Properties=species:S:1:pos:R:3 pbc="T T T"
Na 1.3954 -4.9299 3.1709
Na -2.3598 -1.4053 10.3174
Na -8.2324 2.3275 13.3667
Na -4.4773 -1.1971 6.2202
Sm -9.0391 -0.5304 10.9455
Sm -1.9367 1.4662 7.2847
Sm 2.2020 -2.0720 5.5922
Sm -4.9004 -4.0686 9.2530
P -0.0173 -1.7591 2.6013
P -3.6397 1.8734 9.9019
P -6.8198 -0.8433 13.9364
P -3.1974 -4.4758 6.6358
P -7.2043 -3.3848 12.1963
P -1.2591 -2.1087 7.1600
P 0.3672 0.7824 4.3413
P -5.5779 -0.4937 9.3777
H -5.2974 -2.6229 13.4763
H -2.1569 -2.9839 5.0904
H -1.5397 0.0205 3.0614
H -4.6801 0.3814 11.4472
H -8.8469 0.9241 8.2184
H 0.5333 -0.2871 7.9286
H 2.0099 -3.5265 8.3193
H -7.3704 -2.3153 8.6090
H -5.3974 1.7860 13.0502
H -3.4432 -1.0899 3.5092
H -1.4397 -4.3884 3.4875
H -3.3939 -1.5125 13.0285
H -5.6093 -1.6299 12.0232
H -0.9667 -4.0755 5.8562
H -1.2277 -0.9725 4.5144
H -5.8704 1.4731 10.6814
C -6.0801 -2.1232 12.8855
C -1.8376 -3.4315 6.0438
C -0.7570 -0.4792 3.6522
C -4.9994 0.8291 10.4938
O -8.5264 -2.6826 11.8683
O -1.3454 -2.6529 8.5901
O 1.6894 0.0802 4.6693
O -5.4916 0.0505 7.9475
O -8.0061 -0.1599 13.1814
O -3.9029 1.2003 5.7791
O 1.1690 -2.4425 3.3562
O -2.9341 -3.8028 10.7586
O -9.7989 -2.1536 9.3461
O 0.7170 -3.2705 10.4941
O 2.9618 -0.4488 7.1915
O -7.5541 0.6681 6.0435
O -7.0272 -0.8164 9.8113
O -0.3404 1.3472 5.5955
O 0.1902 -1.7860 6.7263
O -6.4966 -3.9496 10.9422
O -9.6015 0.3684 8.5306
O 0.1352 0.3980 8.5184
O 2.7644 -2.9708 8.0070
O -6.9722 -3.0004 8.0193
O 0.6064 -1.0883 1.3519
O -2.3851 0.9918 9.6815
O -7.4435 -1.5141 15.1857
O -4.4519 -3.5942 6.8562
O -8.4631 1.7812 11.0059
O -2.1812 -0.8826 6.9649
O 1.6260 -4.3836 5.5317
O -4.6558 -1.7198 9.5728
```

---

Entry 4:
Density functional theory data (PBE) for a geometry-optimized EuZn2Ge2 structure.

Results
* formation energy: -0.41 eV per atom
* space group: P4/nmm, No. 129
* total energy: -4.81 eV per atom

extended XYZ file:
```
10
Lattice="4.3493 0.0000 0.0000 0.0000 4.3493 0.0000 0.0000 0.0000 10.5933" Properties=species:S:1:pos:R:3 pbc="T T T"
Eu 0.0000 2.1747 2.6471
Eu 2.1747 0.0000 7.9461
Zn 2.1747 2.1747 5.2966
Zn 0.0000 0.0000 5.2966
Zn 2.1747 0.0000 1.4081
Zn 0.0000 2.1747 9.1851
Ge 0.0000 0.0000 0.0000
Ge 2.1747 2.1747 0.0000
Ge 2.1747 0.0000 3.8626
Ge 0.0000 2.1747 6.7306
```

---

Entry 5:
Density functional theory data (PBE) for a geometry-optimized Mg6AlSi structure.

Results
* MP2020-corrected energy: -36.4 eV per cell
* formation energy: 0.07 eV per atom
* total energy: -2.28 eV per atom

extended XYZ file:
```
16
Lattice="5.1532 0.0000 0.0000 0.0000 6.0688 0.0000 0.0000 0.0000 10.5732" Properties=species:S:1:pos:R:3 pbc="T T T"
Mg 0.0000 1.5457 0.9066
Mg 0.0000 4.5231 0.9066
Mg 0.0000 0.0000 3.5156
Mg 2.5766 4.5345 4.3863
Mg 2.5766 1.5344 4.3863
Mg 2.5766 0.0000 1.7689
Mg 0.0000 4.5801 6.1932
Mg 0.0000 1.4887 6.1932
Mg 0.0000 3.0344 8.8022
Mg 2.5766 1.5000 9.6729
Mg 2.5766 4.5688 9.6729
Mg 2.5766 3.0344 7.0554
Al 0.0000 3.0344 3.4972
Al 0.0000 0.0000 8.7838
Si 2.5766 3.0344 1.7789
Si 2.5766 0.0000 7.0655
```

---

Entry 6:
Density functional theory data (PBE) for a geometry-optimized Pb3N2 structure.

Results
* MP2020-corrected energy: -104.0 eV per cell
* formation energy: 0.36 eV per atom
* space group: Pnma, No. 62
* total energy: -5.05 eV per atom

extended XYZ file:
```
20
Lattice="3.5557 0.0000 0.0000 0.0000 10.8632 0.0000 0.0000 0.0000 12.6255" Properties=species:S:1:pos:R:3 pbc="T T T"
Pb 2.6668 4.5158 7.5553
Pb 2.6668 9.9474 11.3829
Pb 0.8889 6.3475 5.0702
Pb 0.8889 0.9158 1.2426
Pb 2.6668 5.8307 11.1742
Pb 2.6668 0.3991 7.7640
Pb 0.8889 5.0326 1.4512
Pb 0.8889 10.4642 4.8615
Pb 2.6668 3.0093 4.5612
Pb 2.6668 8.4409 1.7515
Pb 0.8889 7.8540 8.0642
Pb 0.8889 2.4223 10.8739
N 2.6668 6.4020 0.8256
N 2.6668 0.9704 5.4872
N 0.8889 4.4612 11.7999
N 0.8889 9.8929 7.1383
N 2.6668 1.2673 12.2433
N 2.6668 6.6989 6.6949
N 0.8889 9.5959 0.3822
N 0.8889 4.1643 5.9305
```

---

Entry 7:
Density functional theory data (PBE) for a geometry-optimized MgTi4Pb2O9F2 structure.

Results
* MP2020-corrected energy: -142.3 eV per cell
* formation energy: -2.96 eV per atom
* space group: C2/m, No. 12
* total energy: -7.51 eV per atom

extended XYZ file:
```
18
Lattice="0.0000 4.0173 0.0000 -5.3985 2.0087 5.2020 5.3236 2.0087 5.4404" Properties=species:S:1:pos:R:3 pbc="T T T"
Mg 0.0000 0.0000 0.0000
Ti 0.8126 2.0087 1.9307
Ti -0.8874 6.0260 8.7117
Ti -0.8800 4.0173 6.6850
Ti 0.8052 4.0173 3.9574
Pb 2.2521 6.0260 6.2646
Pb -2.3269 2.0087 4.3778
O 0.5284 4.0173 1.9403
O -0.6033 4.0173 8.7021
O 0.8212 2.0087 3.9499
O -0.8960 6.0260 6.6925
O 0.0000 2.0087 0.0000
O -1.0672 4.0173 4.5599
O 0.9923 4.0173 6.0825
O -2.8595 4.0173 6.6486
O 2.7847 4.0173 3.9938
F -1.4725 2.0087 2.2457
F 1.3977 6.0260 8.3967
```

---

Entry 8:
Density functional theory data (PBE) for a geometry-optimized FeCuRh4S8 structure.

Results
* MP2020-corrected energy: -84.9 eV per cell
* formation energy: -0.70 eV per atom
* space group: F-43m, No. 216
* total energy: -5.78 eV per atom

extended XYZ file:
```
14
Lattice="5.1392 -0.5600 4.5698 -0.0204 -5.1410 4.6019 4.5643 -5.1447 -0.5545" Properties=species:S:1:pos:R:3 pbc="T T T"
Fe 4.8415 -5.4229 4.3086
Cu 7.2623 -8.1343 6.4629
Rh 3.7661 -1.6468 3.3497
Rh 1.2127 -3.9138 3.3656
Rh 3.4815 -3.9156 0.8138
Rh 1.2228 -1.3696 1.0882
S 5.8053 -9.2874 5.1682
S 8.5708 -6.8321 5.1510
S 6.1134 -6.8301 7.9148
S 8.5598 -9.5876 7.6176
S 6.2142 -4.3365 5.5283
S 3.6088 -6.6497 5.5446
S 5.9239 -6.6516 2.9408
S 3.6192 -4.0537 3.2208
```

---

Entry 9:
Density functional theory data (PBE) for a geometry-optimized SiO2 structure.

Results
* MP2020-corrected energy: -301.0 eV per cell
* formation energy: -3.26 eV per atom
* space group: Cmcm, No. 63
* total energy: -7.90 eV per atom

extended XYZ file:
```
36
Lattice="3.5488 10.5489 2.4440 -5.1023 -3.4163 9.5990 4.5911 -1.9492 1.7466" Properties=species:S:1:pos:R:3 pbc="T T T"
Si 2.5748 -0.0386 5.1811
Si 1.1057 2.2700 3.6243
Si 5.4827 4.6661 2.7878
Si 4.5985 5.2231 5.7336
Si 1.6407 0.4484 8.1799
Si -1.5609 -0.0397 8.0560
Si -2.4452 0.5173 11.0019
Si 1.3968 4.7350 5.6098
Si 0.4627 5.2220 8.6085
Si -1.8056 -2.4191 6.0439
Si 4.8432 7.6025 7.7458
Si 1.9319 2.9134 10.1653
O -1.1402 5.2352 8.8394
O 0.0393 0.2106 8.1142
O -0.4133 1.8974 3.2037
O 1.0850 3.3298 4.8614
O 1.1808 2.3111 11.4676
O 1.8568 2.8723 2.3221
O -2.1744 -0.1458 9.5503
O 0.7944 4.6641 7.1143
O 2.0204 -1.5438 4.9587
O -2.2491 1.1822 7.2436
O 2.9983 4.9728 5.6755
O -0.2556 -2.6827 5.6728
O 1.8823 0.9228 4.0770
O 2.2432 0.5193 6.6753
O 1.0172 6.7272 8.8310
O -2.5511 -1.7082 4.7995
O 1.9526 1.8536 8.9283
O 5.2120 5.3292 4.2394
O 1.1553 4.2606 9.7127
O 1.7744 5.2744 1.2220
O 5.2867 4.0012 6.5461
O 4.9270 6.6377 6.4488
O -1.8894 -1.4543 7.3409
O 4.0699 4.2999 2.0953
```

---

Entry 10:
Density functional theory data (PBE) for a geometry-optimized La4Ru structure.

Results
* formation energy: 0.12 eV per atom
* space group: Fd-3m, No. 227
* total energy: -5.68 eV per atom

extended XYZ file:
```
10
Lattice="-5.6323 -5.6323 0.0000 -5.6323 0.0000 -5.6323 0.0000 -5.6323 -5.6323" Properties=species:S:1:pos:R:3 pbc="T T T"
La -6.9304 -6.9304 -6.9304
La -4.3343 -4.3343 -6.9304
La -4.3343 -6.9304 -4.3343
La -4.1142 -4.1142 -1.5181
La -1.5181 -1.5181 -1.5181
La -6.9304 -4.3343 -4.3343
La -4.1142 -1.5181 -4.1142
La -1.5181 -4.1142 -4.1142
Ru 0.0000 0.0000 0.0000
Ru -8.4485 -8.4485 -8.4485
```

---

Entry 11:
Density functional theory data (PBE) for a geometry-optimized Dy2SO2 structure.

Results
* MP2020-corrected energy: -41.2 eV per cell
* formation energy: -3.59 eV per atom
* space group: P-3m1, No. 164
* total energy: -7.86 eV per atom

extended XYZ file:
```
5
Lattice="-3.6851 0.5852 -0.7690 1.1583 -3.3845 1.3105 -0.9661 2.0727 6.2068" Properties=species:S:1:pos:R:3 pbc="T T T"
Dy -2.7639 0.7493 4.3781
Dy -0.7290 -1.4759 2.3702
S 0.0000 0.0000 0.0000
O -2.4286 0.0299 2.2239
O -1.0643 -0.7565 4.5244
```

---

Entry 12:
Density functional theory data (PBE) for a geometry-optimized Er12Ga9Ge11 structure.

Results
* formation energy: -0.71 eV per atom
* space group: Amm2, No. 38
* total energy: -4.86 eV per atom

extended XYZ file:
```
32
Lattice="3.7240 -4.6794 0.0000 3.7240 4.6794 0.0000 0.0000 0.0000 18.7326" Properties=species:S:1:pos:R:3 pbc="T T T"
Er 4.8747 0.0000 0.0000
Er 4.8692 0.0000 9.3663
Er 2.5787 0.0000 4.6845
Er 2.5787 0.0000 14.0481
Er 3.7256 2.8169 2.3378
Er 3.7237 2.8191 11.7092
Er 3.7256 2.8169 16.3947
Er 3.7237 2.8191 7.0234
Er 3.7256 -2.8169 2.3378
Er 3.7237 -2.8191 11.7092
Er 3.7237 -2.8191 7.0234
Er 3.7256 -2.8169 16.3947
Ga 2.3821 0.0000 16.8824
Ga 2.4033 0.0000 7.4958
Ga 5.0459 0.0000 6.5514
Ga 5.0509 0.0000 15.9222
Ga 2.3821 0.0000 1.8501
Ga 2.4033 0.0000 11.2368
Ga 5.0509 0.0000 2.8103
Ga 5.0459 0.0000 12.1812
Ga 0.3062 0.0000 0.0000
Ge 2.1658 -1.9070 0.0000
Ge 2.1681 -1.9069 9.3663
Ge 5.2817 -1.9074 4.6805
Ge 5.2817 -1.9074 14.0521
Ge 5.2817 1.9074 4.6805
Ge 5.2817 1.9074 14.0521
Ge 2.1658 1.9070 0.0000
Ge 2.1681 1.9069 9.3663
Ge 0.2985 0.0000 9.3663
Ge 7.1523 0.0000 4.6855
Ge 7.1523 0.0000 14.0471
```

---

Entry 13:
Density functional theory data (PBE) for a geometry-optimized Pd3N structure.

Results
* MP2020-corrected energy: -22.4 eV per cell
* formation energy: 0.37 eV per atom
* space group: Pm-3m, No. 221
* total energy: -5.51 eV per atom

extended XYZ file:
```
4
Lattice="-0.8840 3.5990 -1.7229 -2.8364 0.6743 2.8640 2.8063 1.8152 2.3520" Properties=species:S:1:pos:R:3 pbc="T T T"
Pd 1.4032 0.9076 1.1760
Pd -1.4182 0.3372 1.4320
Pd -0.4420 1.7995 -0.8614
N 0.0000 0.0000 0.0000
```

---

Entry 14:
Density functional theory data (PBE) for a geometry-optimized Te4H4Pb12C2Cl3O29 structure.

Results
* MP2020-corrected energy: -320.1 eV per cell
* formation energy: -1.52 eV per atom
* space group: P1, No. 1
* total energy: -5.56 eV per atom

extended XYZ file:
```
54
Lattice="-1.2262 -7.5888 -0.9599 9.6062 -2.2144 5.2677 -9.6343 2.7499 6.9140" Properties=species:S:1:pos:R:3 pbc="T T T"
Te -5.7727 -5.1523 3.6138
Te 0.0430 -4.8014 5.0013
Te 4.5383 -1.9164 7.6063
Te -1.2940 -2.2488 6.2253
H 8.3723 -4.4265 5.2128
H -0.5835 -0.7181 11.1302
H -9.6071 -2.5786 6.0437
H -0.7312 -6.3328 0.0598
Pb -3.2395 -2.9463 2.5686
Pb 0.9752 -0.0913 7.9608
Pb 2.0843 -4.2625 8.4280
Pb -2.2302 -6.9762 3.2595
Pb 3.5782 -5.8843 5.1433
Pb -3.6023 -5.3882 6.5840
Pb -4.8047 -1.1900 6.0243
Pb 2.3529 -1.6624 4.6259
Pb 6.6056 -1.6318 4.9267
Pb -2.5631 -2.7031 9.3552
Pb -7.8507 -5.4144 6.3008
Pb 1.3232 -4.3549 1.8714
C -5.8912 -4.0188 8.7480
C -4.9814 -0.2819 9.3900
Cl -1.2608 -5.9087 9.1604
Cl -8.1871 -0.3765 5.4999
Cl 0.0023 -1.1644 2.0531
O -4.7766 -4.2781 9.3567
O 3.5354 -2.7708 1.8758
O 3.5670 -8.2004 5.1805
O -2.8054 -3.2454 7.0053
O -4.8014 1.1471 6.0435
O 1.5552 -3.8027 4.2254
O 2.7682 -6.2051 2.4927
O -6.0239 -4.3245 7.4874
O -4.0187 -0.8685 8.7385
O 4.7961 -2.7014 3.7336
O 4.0401 -5.9383 7.5532
O -1.4117 -5.9549 5.6247
O -5.3057 -1.1124 3.6502
O 0.1686 -1.1024 5.6061
O -4.7979 -6.4732 2.4497
O 0.0221 -3.7014 6.6801
O 3.5713 -0.5754 8.7563
O -1.2737 -3.3522 4.5497
O 5.7622 -3.0261 6.6228
O -1.1019 -1.4733 7.9791
O -7.0014 -4.0296 4.5792
O -0.1472 -5.5831 3.2533
O -4.0809 -4.6353 4.3757
O 1.2972 -6.0107 5.8294
O 2.8484 -2.4208 6.8196
O -2.5277 -1.0124 5.4206
O 8.1828 -3.8746 4.4272
O 0.1335 -5.9003 -0.0781
O 6.6843 -6.5803 5.9584
```

---

Entry 15:
Density functional theory data (PBE) for a geometry-optimized Mg14ZrW structure.

Results
* formation energy: 0.19 eV per atom
* space group: P-6m2, No. 187
* total energy: -2.55 eV per atom

extended XYZ file:
```
16
Lattice="-0.3861 -0.0874 -6.3133 5.6608 -0.0119 2.8230 -0.0930 -10.0084 0.1442" Properties=species:S:1:pos:R:3 pbc="T T T"
Mg 4.6588 -1.2762 1.2834
Mg 4.5918 -6.2796 1.3967
Mg 1.5790 -1.3129 -3.2475
Mg 1.5784 -6.3176 -3.1782
Mg 4.4698 -1.3190 -1.8058
Mg 4.3980 -6.3235 -1.7721
Mg 0.8219 -3.8837 -1.5136
Mg 0.7772 -8.6880 -1.4443
Mg 3.5318 -3.8894 -0.1622
Mg 3.4872 -8.6937 -0.0929
Mg 0.6206 -3.9292 -4.8046
Mg 0.5760 -8.7336 -4.7354
Mg 3.4177 -3.7889 -3.3256
Mg 3.3703 -8.8832 -3.2522
Zr 1.8110 -1.2696 -0.0932
W 1.7645 -6.2738 -0.0211
```